Record 1
VASP calculation (PBE) on a geometry-optimized K2CaH2S2O9 structure.

```
32
Lattice="6.3350 0.0000 0.0000 0.0000 7.2128 0.0000 -2.3357 0.0000 9.6466" Properties=species:S:1:pos:R:3 pbc="T T T"
K 0.3885 0.0361 3.2258
K 0.3885 3.5703 3.2258
K 3.6107 3.6426 6.4209
K 3.6107 7.1767 6.4209
Ca -0.1379 1.8032 9.3406
Ca 4.1372 5.4096 0.3060
H 0.8441 4.6107 7.2494
H 0.8441 6.2085 7.2494
H 3.1552 1.0043 2.3973
H 3.1552 2.6021 2.3973
S 0.9928 5.4096 0.0780
S 0.2816 1.8032 6.1810
S 3.7176 5.4096 3.4656
S 3.0065 1.8032 9.5686
O -0.1885 1.8032 1.1637
O 0.0430 5.4096 1.2363
O -0.8095 1.8032 5.1611
O 0.1370 0.6044 7.0739
O 0.1370 3.0021 7.0739
O 1.8882 4.2148 0.1662
O 1.8882 6.6044 0.1662
O 1.6027 1.8032 5.4969
O 2.6221 1.8032 2.1489
O 1.3772 5.4096 7.4978
O 2.3965 5.4096 4.1497
O 2.1111 0.6084 9.4804
O 2.1111 2.9980 9.4804
O 3.8623 4.2108 2.5727
O 3.8623 6.6085 2.5727
O 4.8088 5.4096 4.4855
O 3.9563 1.8032 8.4104
O 4.1878 5.4096 8.4829
```

Results
- DFT total energy: -186.92 eV per cell
- Space group: No. 11
- Energy relative to the elements: -2.239 eV/atom

Record 2
VASP calculation (PBE) on a geometry-optimized Na14Mg4Al4Si5S7O48 structure.

```
246
Lattice="8.8393 0.0000 0.0000 -0.0380 15.4751 0.0000 -0.0469 -0.0502 21.8370" Properties=species:S:1:pos:R:3 pbc="T T T"
Na 0.0000 0.0000 0.0000
Na -0.0422 15.0402 7.2138
Na 0.1903 10.0142 7.3768
Na 0.2022 4.9865 21.7462
Na 0.4593 15.2224 14.5043
Na 1.4170 2.1491 12.6128
Na 1.4514 7.3748 9.0338
Na 1.4844 2.1388 1.8207
Na 1.4622 7.5358 19.9474
Na 1.4938 12.7872 16.3915
Na 1.5455 12.8366 5.5200
Na 2.4793 15.2580 3.6387
Na 2.7282 4.9854 10.7010
Na 2.8084 10.0850 18.1326
Na 3.0026 15.3844 10.9153
Na 3.0223 14.9409 18.0441
Na 3.1406 10.3019 3.6263
Na 3.1582 4.7062 3.8780
Na 3.2267 9.8558 10.9124
Na 4.1956 12.4054 14.5366
Na 4.2211 1.9415 21.7827
Na 4.2912 2.4974 14.4469
Na 4.3611 7.2472 7.2464
Na 4.4093 7.8092 0.0203
Na 4.5809 2.3475 7.2883
Na 4.6322 12.6994 21.6090
Na 4.9035 7.5076 14.4695
Na 5.8243 5.0635 16.3542
Na 5.8377 15.1856 9.1239
Na 5.8521 10.0012 12.6062
Na 5.8903 5.0721 5.5562
Na 5.9210 15.0542 19.8992
Na 5.9918 9.9633 1.7237
Na 6.9033 7.5285 3.6842
Na 7.0579 12.7224 10.8161
Na 7.1927 2.2107 18.1641
Na 7.3995 7.3183 18.0083
Na 7.4230 7.7589 10.9111
Na 7.5566 12.5049 3.6468
Na 7.5961 2.5057 3.6147
Na 8.6218 10.2473 14.4284
Na 8.6627 4.7318 14.4924
Mg 1.4092 12.8228 2.1666
Mg 1.4171 2.1564 20.2709
Mg 1.4638 7.4954 12.2699
Mg 1.5405 2.2486 5.1762
Mg 1.5491 2.1668 15.9759
Mg 1.5987 12.8570 13.0082
Mg 5.8323 9.9305 5.1114
Mg 5.8835 5.1403 2.1769
Mg 5.8440 9.9695 16.0567
Mg 5.9160 15.2239 1.3807
Mg 5.9202 10.0064 9.4491
Mg 5.9890 5.0343 13.0756
Al 1.4220 7.6631 1.4061
Al 1.5565 7.2569 5.9974
Al 1.5751 2.2116 9.3069
Al 1.5453 7.4535 16.6805
Al 1.5387 12.8495 19.5012
Al 1.5886 13.0134 8.8498
Al 5.8227 5.1196 8.6150
Al 5.8301 15.2115 12.1808
Al 5.8470 9.9353 20.2060
Al 5.8543 14.8923 16.8468
Al 5.8815 15.1581 5.8515
Al 5.9224 5.1108 19.6318
Si 0.0702 -0.0349 18.1381
Si 0.1070 15.0739 10.8780
Si 2.7932 4.5540 7.2931
Si 2.7717 14.9391 21.8287
Si 2.8961 -0.0125 7.2125
Si 3.4124 15.2504 14.5349
Si 3.9520 7.5271 3.5871
Si 4.1161 12.6320 10.9481
Si 4.5034 7.6984 18.1627
Si 4.5638 7.1983 10.9164
Si 4.5865 12.2641 18.2148
Si 7.2410 7.2827 21.7877
Si 7.3088 7.7393 7.2203
Si 7.7719 7.5155 14.5697
Si 8.4447 15.2817 3.6385
S 0.1806 4.6178 18.1883
S 0.2285 9.7663 3.5988
S 0.2430 5.3031 3.5662
S 0.2306 10.4668 10.8609
S 2.7066 10.3604 21.8275
S 2.7275 9.7272 14.5479
S 2.7447 5.2226 14.5611
S 3.2348 10.1408 7.2257
S 3.3173 4.8902 21.7856
S 4.1432 2.4217 18.2004
S 4.6666 2.0343 3.5890
S 4.6377 12.9817 3.6310
S 4.6568 2.6745 10.8916
S 7.1662 1.9840 14.5167
S 7.1516 2.7263 21.7754
S 7.1567 12.9949 14.5019
S 7.1904 12.3790 7.2109
S 7.7430 2.3742 7.2546
S 7.7313 12.5320 21.7632
S 8.4649 4.8252 10.8424
S 8.4796 10.0976 18.1862
O -0.0383 7.3106 15.8872
O 0.1111 7.3724 0.1639
O 0.1027 7.6808 6.9423
O 0.1531 0.9277 19.4625
O 0.3003 14.0266 9.5858
O 0.4194 8.8807 2.4019
O 0.4316 3.8015 16.9833
O 0.4451 6.0831 10.9028
O 0.4640 6.1622 4.7555
O 0.4771 11.2457 12.1010
O 0.5117 13.8954 3.6597
O 0.5030 8.8561 18.0999
O 0.5445 3.6759 10.7027
O 0.5869 1.1544 3.7285
O 0.5452 11.2439 18.4347
O 0.7183 6.0009 18.0803
O 0.7497 4.0021 19.4038
O 0.7417 13.9677 18.3556
O 0.8031 5.9604 2.3386
O 0.8026 9.1506 4.7987
O 0.8115 11.1490 9.6596
O 0.8473 9.1121 10.9141
O 0.8823 3.9772 3.6567
O 0.8515 14.4784 12.1920
O 0.8779 0.6080 16.8799
O 0.8913 11.0856 3.4180
O 0.9086 1.0402 10.5627
O 2.0245 11.0272 14.5182
O 2.0714 3.9138 14.7557
O 2.1216 3.7800 8.5759
O 2.0945 14.0146 7.4461
O 2.1595 0.5575 5.8965
O 2.1468 0.9728 21.6984
O 2.1817 9.0180 0.0805
O 2.1327 10.9841 20.6168
O 2.1620 14.3693 1.3351
O 2.1894 5.8081 13.3317
O 2.1811 9.0253 15.7673
O 2.2337 6.1053 7.2074
O 2.2953 11.2737 7.3815
O 2.4046 3.7424 21.5999
O 2.4194 8.8830 7.0775
O 2.4518 13.9189 14.5496
O 2.4943 11.2017 1.2095
O 2.5016 1.1321 14.5419
O 2.4610 13.9445 20.5526
O 2.5068 8.9078 13.3437
O 2.5464 6.1877 0.0322
O 2.5301 6.1376 15.7282
O 2.6114 3.7224 5.9166
O 2.6729 1.0020 8.4963
O 2.8486 7.6359 17.9523
O 2.9237 7.3361 10.9368
O 2.9588 7.3587 4.8856
O 2.9229 12.4002 18.4027
O 2.9892 7.7056 2.2433
O 3.0769 12.9362 9.7159
O 3.1544 2.5483 10.7878
O 3.1685 12.7666 3.5561
O 3.1997 2.2276 3.6737
O 3.2741 2.2229 19.3878
O 3.2784 12.2385 12.2788
O 3.3404 2.6758 16.9833
O 4.0415 10.3844 5.9949
O 4.0999 9.9137 8.3938
O 4.1379 4.6676 1.1850
O 4.2125 5.0033 14.4958
O 4.1919 9.9154 14.6447
O 4.2048 10.2313 21.7397
O 4.2513 5.0818 20.6419
O 4.4312 -0.0005 13.2321
O 4.3885 15.0911 15.8617
O 4.4564 4.6761 7.4606
O 4.4632 15.1216 0.0127
O 4.5123 15.4018 7.0103
O 4.7183 8.6999 19.4661
O 4.7612 11.4051 16.8642
O 4.8614 6.1946 9.6355
O 4.8936 1.2176 2.3740
O 4.8575 13.8945 4.7918
O 4.8953 6.1781 3.5774
O 4.8901 3.4716 12.1134
O 4.8981 8.8785 3.5931
O 4.9650 1.1918 18.0754
O 4.9792 14.0556 11.0404
O 5.0779 3.5812 18.3882
O 5.1452 11.4049 10.6977
O 5.1478 13.8108 18.1194
O 5.1912 13.5650 2.3948
O 5.2002 6.5610 12.2639
O 5.2382 1.3714 4.7976
O 5.2304 1.3047 10.9789
O 5.2332 3.3160 9.6852
O 5.2292 6.2282 18.4276
O 5.2495 8.6687 10.7681
O 5.2500 11.5052 19.5235
O 5.2776 8.2645 16.8703
O 5.3047 11.6651 3.8034
O 5.3376 3.3654 3.4921
O 6.5077 3.3238 14.3645
O 6.5292 8.3205 5.9022
O 6.5451 6.7275 1.2598
O 6.5098 11.6736 14.6272
O 6.5136 8.7373 21.4906
O 6.5392 3.3999 20.5776
O 6.5758 1.3626 21.8137
O 6.6084 1.3924 15.7461
O 6.6152 6.2549 7.4535
O 6.5928 13.6497 13.2921
O 6.6165 11.7716 8.4034
O 6.6276 13.7762 7.0962
O 6.8306 3.5110 7.4868
O 6.8239 8.8585 14.6537
O 6.8197 11.3734 21.6298
O 6.8910 1.1228 7.1476
O 6.9025 3.5510 1.1664
O 6.8674 6.1269 14.5888
O 6.9221 11.5791 5.9827
O 6.8966 13.7835 21.8239
O 6.9644 1.1064 13.3365
O 6.9388 13.8576 15.6991
O 7.0462 6.2042 20.5278
O 7.1649 8.7400 8.4973
O 7.2448 15.3775 17.8605
O 7.3166 15.1520 11.0902
O 7.3966 15.0898 4.9242
O 7.5010 4.6947 18.3030
O 7.5245 4.9999 9.7033
O 7.5534 9.8162 19.3203
O 7.6270 0.0363 2.2743
O 7.6074 5.1107 3.4673
O 7.5956 9.9775 3.6768
O 7.6002 10.3249 10.7584
O 7.7331 4.6370 12.1188
O 7.7451 10.3227 16.9420
O 8.4784 2.6133 5.9970
O 8.5100 12.4013 1.2036
O 8.6445 2.2248 14.6176
O 8.6338 2.6515 21.6796
O 8.6278 12.8092 14.4103
O 8.6716 2.1022 8.3783
O 8.6559 7.7228 13.2289
O 8.6847 12.4842 7.3081
O 8.6697 12.7144 20.6273
```

Results
- DFT total energy: -1525.02 eV per cell
- Space group: No. 1
- Energy relative to the elements: -2.535 eV/atom

Record 3
VASP calculation (PBE) on a geometry-optimized GdSbPt structure.

```
12
Lattice="6.6674 0.0000 0.0000 0.0000 6.6674 0.0000 0.0000 0.0000 6.6674" Properties=species:S:1:pos:R:3 pbc="T T T"
Gd 0.0000 0.0000 0.0000
Gd 0.0000 3.3337 3.3337
Gd 3.3337 0.0000 3.3337
Gd 3.3337 3.3337 0.0000
Sb 0.0000 0.0000 3.3337
Sb 0.0000 3.3337 0.0000
Sb 3.3337 0.0000 0.0000
Sb 3.3337 3.3337 3.3337
Pt 1.6669 1.6669 1.6669
Pt 1.6669 5.0006 5.0006
Pt 5.0006 1.6669 5.0006
Pt 5.0006 5.0006 1.6669
```

Results
- DFT total energy: -111.38 eV per cell
- Space group: No. 216
- Energy relative to the elements: -1.189 eV/atom

Record 4
VASP calculation (PBE) on a geometry-optimized RbPH2O4 structure.

```
16
Lattice="4.9017 0.0000 0.0000 0.0000 6.2169 0.0000 -2.3496 0.0000 7.1712" Properties=species:S:1:pos:R:3 pbc="T T T"
Rb 0.4210 1.5542 1.8443
Rb 2.1311 4.6627 5.3269
P -0.3156 1.5542 5.3962
P 2.8677 4.6627 1.7750
H -0.0199 4.6627 2.7337
H 2.4508 0.0000 0.0000
H 2.4508 3.1085 0.0000
H 2.5720 1.5542 4.4375
O -1.3436 1.5542 4.1804
O -0.6199 0.2783 6.2408
O -0.6199 2.8301 6.2408
O 1.4819 4.6627 2.3939
O 1.0702 1.5542 4.7773
O 3.1720 3.3868 0.9304
O 3.1720 5.9386 0.9304
O 3.8957 4.6627 2.9908
```

Results
- DFT total energy: -95.26 eV per cell
- Space group: No. 11
- Energy relative to the elements: -2.176 eV/atom

Record 5
VASP calculation (PBE) on a geometry-optimized NaCeMg14O16 structure.

```
32
Lattice="4.3895 0.0000 0.0000 0.0000 8.7111 0.0000 0.0000 0.0000 8.7937" Properties=species:S:1:pos:R:3 pbc="T T T"
Na 0.0000 0.0000 0.0000
Ce 0.0000 0.0000 4.3969
Mg 0.0000 2.2401 2.0858
Mg 0.0000 2.2401 6.7080
Mg 0.0000 4.3555 0.0000
Mg 0.0000 4.3555 4.3969
Mg 0.0000 6.4710 2.0858
Mg 0.0000 6.4710 6.7080
Mg 2.1947 0.0000 2.0053
Mg 2.1947 0.0000 6.7885
Mg 2.1947 2.1755 0.0000
Mg 2.1947 2.3200 4.3969
Mg 2.1947 4.3555 2.1563
Mg 2.1947 4.3555 6.6374
Mg 2.1947 6.3911 4.3969
Mg 2.1947 6.5356 0.0000
O 0.0000 0.0000 2.1607
O 0.0000 0.0000 6.6331
O 0.0000 2.3256 0.0000
O 0.0000 2.3276 4.3969
O 0.0000 4.3555 2.2052
O 0.0000 4.3555 6.5885
O 0.0000 6.3855 0.0000
O 0.0000 6.3835 4.3969
O 2.1947 0.0000 0.0000
O 2.1947 0.0000 4.3969
O 2.1947 2.1744 2.2101
O 2.1947 2.1744 6.5836
O 2.1947 4.3555 0.0000
O 2.1947 4.3555 4.3969
O 2.1947 6.5366 2.2101
O 2.1947 6.5366 6.5836
```

Results
- DFT total energy: -191.65 eV per cell
- Space group: No. 47
- Energy relative to the elements: -2.932 eV/atom

Record 6
VASP calculation (PBE) on a geometry-optimized CsMg14Ni structure.

```
16
Lattice="6.4381 0.0000 0.0000 -3.2191 5.5756 0.0000 0.0000 0.0000 10.6384" Properties=species:S:1:pos:R:3 pbc="T T T"
Cs 0.0000 0.0000 0.0000
Mg -1.5767 2.8067 0.0000
Mg 0.0000 1.8368 3.0113
Mg 0.0000 1.8368 7.6271
Mg -1.6283 4.6572 3.0113
Mg -1.6283 4.6572 7.6271
Mg 1.5767 2.8067 0.0000
Mg 0.0000 5.5377 0.0000
Mg 3.2191 0.0699 5.3192
Mg 1.6701 2.7528 5.3192
Mg 3.2191 1.8585 2.5555
Mg 3.2191 1.8585 8.0829
Mg 1.6283 4.6572 3.0113
Mg 1.6283 4.6572 7.6271
Mg 4.7681 2.7528 5.3192
Ni 0.0000 0.0000 5.3192
```

Results
- DFT total energy: -25.64 eV per cell
- Space group: No. 187
- Energy relative to the elements: 0.215 eV/atom

Record 7
VASP calculation (PBE) on a geometry-optimized Cs4SnO4 structure.

```
36
Lattice="11.9179 0.0000 0.0000 0.0000 7.4922 0.0000 -4.2873 0.0000 11.0920" Properties=species:S:1:pos:R:3 pbc="T T T"
Cs -0.1525 0.6709 2.1581
Cs -2.2961 3.0752 7.7041
Cs 1.4721 4.5816 1.0033
Cs -0.6715 6.6568 6.5493
Cs 0.5446 4.9169 9.8852
Cs 2.6883 6.3214 4.3391
Cs 1.6727 1.3170 8.8267
Cs 3.8163 2.4291 3.2807
Cs 3.8143 5.0632 7.8113
Cs 5.9580 6.1752 2.2653
Cs 4.9424 1.1708 6.7529
Cs 7.0860 2.5753 1.2069
Cs 8.3021 0.8355 4.5427
Cs 6.1585 2.9107 10.0887
Cs 9.9267 4.4170 3.3879
Cs 7.7831 6.8213 8.9339
Sn -1.3691 0.9673 11.0270
Sn 0.7746 2.7788 5.4810
Sn 6.8561 4.7134 5.6110
Sn 8.9997 6.5250 0.0650
O -3.1800 1.7981 10.7744
O -1.0363 1.9480 5.2284
O 1.1759 3.8280 3.8180
O -0.9678 7.4104 9.3640
O 0.7945 3.9289 7.1320
O 2.9382 7.3095 1.5860
O 2.1382 1.3278 5.7397
O 4.2818 2.4184 0.1937
O 3.3488 5.0739 10.8983
O 5.4925 6.1645 5.3523
O 4.6925 0.1827 9.5060
O 6.8361 3.5634 3.9600
O 8.5984 0.0819 1.7280
O 6.4548 3.6642 7.2740
O 8.6670 5.5442 5.8636
O 10.8106 5.6941 0.3176
```

Results
- DFT total energy: -161.53 eV per cell
- Space group: No. 14
- Energy relative to the elements: -1.750 eV/atom

Record 8
VASP calculation (PBE) on a geometry-optimized NaPuO3 structure.

```
5
Lattice="4.2383 0.0000 0.0000 0.0000 4.2383 0.0000 0.0000 0.0000 4.2383" Properties=species:S:1:pos:R:3 pbc="T T T"
Na 0.0000 0.0000 0.0000
Pu 2.1192 2.1192 2.1192
O 0.0000 2.1192 2.1192
O 2.1192 0.0000 2.1192
O 2.1192 2.1192 0.0000
```

Results
- DFT total energy: -43.00 eV per cell
- Space group: No. 221
- Energy relative to the elements: -2.926 eV/atom

Record 9
VASP calculation (PBE) on a geometry-optimized HfUC2 structure.

```
12
Lattice="3.3687 0.0000 0.0000 -1.6844 2.9174 0.0000 0.0000 0.0000 16.8820" Properties=species:S:1:pos:R:3 pbc="T T T"
Hf 0.0000 0.0000 0.0000
Hf 0.0000 1.9449 11.2547
Hf 1.6844 0.9725 5.6273
U 0.0000 0.0000 8.4410
U 0.0000 1.9449 2.8137
U 1.6844 0.9725 14.0683
C 0.0000 0.0000 4.2610
C 0.0000 0.0000 12.6210
C 0.0000 1.9449 6.9937
C 0.0000 1.9449 15.5157
C 1.6844 0.9725 1.3663
C 1.6844 0.9725 9.8883
```

Results
- DFT total energy: -125.60 eV per cell
- Space group: No. 166
- Energy relative to the elements: -0.540 eV/atom